{"formula": "VOF2", "functional": "r2SCAN", "state": "relaxed", "lattice_angstrom": [[2.5790, 1.4022, -4.1847], [2.5779, 4.6372, -0.0059], [5.1613, -6.0464, 4.1914]], "species": ["F", "F", "O", "V", "V", "F", "V", "F", "V", "F", "F", "O", "F", "O", "F", "O"], "frac_coords": [[0.6710, 0.0466, 0.8286], [0.7596, 0.3806, 0.1200], [0.8341, 0.8366, 0.0924], [0.5180, 0.5169, 0.4919], [0.2589, 0.2573, 0.7325], [0.2596, 0.8806, 0.6200], [0.0180, 0.0169, 0.9919], [0.7345, 0.1098, 0.3905], [0.7588, 0.7572, 0.2325], [0.2346, 0.6097, 0.8905], [0.3201, 0.9412, 0.1794], [0.1538, 0.1612, 0.9146], [0.8201, 0.4411, 0.6794], [0.3342, 0.3366, 0.5924], [0.1711, 0.5466, 0.3286], [0.6538, 0.6612, 0.4146]], "formation_energy_kcal_per_mol_atoms": -67.52}